No. 1
This record from the Materials Project describes an optimized crystal structure of CoH9C3N6. The functional is PBE.

Lattice parameters (Å, degrees): 10.9904 10.9904 10.9142 90.00 90.00 120.00
Space group R-3 (No. 148, hexagonal axes)
Unique sites:
1 Co 0.0000 0.0000 0.0000 x3
2 Co 0.0000 0.0000 0.5000 x3
3 H 0.0181 0.7849 0.4343 x18
4 H 0.0281 0.8769 0.3119 x18
5 H 0.1011 0.8742 0.6249 x18
6 C 0.0229 0.1492 0.0995 x18
7 N 0.0224 0.1572 0.6053 x18
8 N 0.0395 0.2416 0.1644 x18


No. 2
This record from the Materials Project describes an optimized crystal structure of K2NaCoC6N6. The functional is PBE.

Lattice parameters (Å, degrees): 7.105 7.604 12.526 90.00 123.83 90.00
Space group P2_1/c (No. 14)
Unique sites:
1 K 0.222 0.077 0.248 x4
2 Na 0.000 0.000 0.500 x2
3 Co 0.500 0.000 0.000 x2
4 C 0.245 0.129 0.963 x4
5 C 0.328 0.707 0.453 x4
6 C 0.414 0.027 0.830 x4
7 N 0.084 0.210 0.937 x4
8 N 0.216 0.665 0.923 x4
9 N 0.358 0.047 0.723 x4


No. 3
This record from the Materials Project describes an optimized crystal structure of LuCoC6N6. The functional is PBE.

Lattice parameters (Å, degrees): 7.3814 7.3814 12.8208 90.00 90.00 120.00
Space group P6_3/mmc (No. 194)
Unique sites:
1 Lu 0.3333 0.6667 0.2500 x2
2 Co 0.0000 0.0000 0.0000 x2
3 C 0.1188 0.2376 0.0840 x12
4 N 0.1929 0.3858 0.1377 x12


No. 4
This record from the Materials Project describes an optimized crystal structure of Mg6CoC. The functional is PBE.

Summary:
As for the relative energy among the computed polymorphs: 0.0 kJ per mole of atoms.

Lattice parameters (Å, degrees): 3.577 7.658 10.411 90.00 90.00 90.00
Space group Amm2 (No. 38)
Unique sites:
1 Mg 0.000 0.000 0.000 x2
2 Mg 0.000 0.177 0.259 x4
3 Mg 0.500 0.000 0.776 x2
4 Mg 0.500 0.182 0.491 x4
5 Co 0.000 0.000 0.615 x2
6 C 0.500 0.000 0.311 x2


No. 5
This record from the Materials Project describes an optimized crystal structure of Mg14CoC. The functional is PBE.

Summary:
As for the relative energy among the computed polymorphs: 0.0 kJ per mole of atoms.

Lattice parameters (Å, degrees): 8.730 7.670 9.905 90.00 90.00 90.00
Space group Amm2 (No. 38)
Unique sites:
1 Mg 0.000 0.000 0.000 x2
2 Mg 0.000 0.000 0.458 x2
3 Mg 0.000 0.203 0.731 x4
4 Mg 0.236 0.000 0.215 x4
5 Mg 0.290 0.000 0.833 x4
6 Mg 0.325 0.193 0.530 x8
7 Mg 0.500 0.198 0.282 x4
8 Co 0.500 0.000 0.038 x2
9 C 0.500 0.000 0.447 x2


No. 6
This record from the Materials Project describes an optimized crystal structure of Mg6CoC. The functional is PBE.

Summary:
As for the relative energy among the computed polymorphs: 2.6 kJ per mole of atoms.

Lattice parameters (Å, degrees): 3.836 8.140 9.054 90.00 90.00 90.00
Space group Amm2 (No. 38)
Unique sites:
1 Mg 0.000 0.000 0.000 x2
2 Mg 0.000 0.000 0.378 x2
3 Mg 0.000 0.181 0.671 x4
4 Mg 0.500 0.248 0.930 x4
5 Co 0.500 0.000 0.184 x2
6 C 0.500 0.000 0.531 x2


no.,M_tot (Bohr magnetons per cell),ΔE_f (eV/atom)
1,0.0,-0.252
2,0.0,-0.281
3,0.0,-0.253
4,1.6,0.363
5,1.2,0.195
6,1.8,0.390